1.
# r²SCAN Y2Fe3Si5, relaxed
# Space group: P4/mnc (128)
# Crystal system: tetragonal
# E_form (eV/atom): -0.549
data_Y2Fe3Si5
_space_group_name_H-M_alt 'P 1'
_space_group_IT_number 1
_space_group_name_Hall 'P 1'
_cell_length_a 10.309
_cell_length_b 10.309
_cell_length_c 5.463
_cell_angle_alpha 90.00
_cell_angle_beta 90.00
_cell_angle_gamma 90.00
loop_
_atom_site_label
_atom_site_fract_x
_atom_site_fract_y
_atom_site_fract_z
Fe1 0.877 0.855 0.500
Fe2 0.377 0.645 0.000
Fe3 0.500 0.000 0.250
Fe4 0.500 0.000 0.750
Fe5 0.645 0.623 0.000
Fe6 0.123 0.145 0.500
Fe7 0.000 0.500 0.250
Fe8 0.623 0.355 0.000
Fe9 0.355 0.377 0.000
Fe10 0.145 0.877 0.500
Fe11 0.855 0.123 0.500
Fe12 0.000 0.500 0.750
Si1 0.323 0.823 0.250
Si2 0.500 0.500 0.227
Si3 0.321 0.021 0.500
Si4 0.000 0.000 0.727
Si5 0.823 0.677 0.750
Si6 0.821 0.479 0.000
Si7 0.000 0.000 0.273
Si8 0.323 0.823 0.750
Si9 0.521 0.821 0.000
Si10 0.823 0.677 0.250
Si11 0.679 0.979 0.500
Si12 0.979 0.321 0.500
Si13 0.179 0.521 0.000
Si14 0.677 0.177 0.750
Si15 0.177 0.323 0.750
Si16 0.177 0.323 0.250
Si17 0.500 0.500 0.773
Si18 0.479 0.179 0.000
Si19 0.677 0.177 0.250
Si20 0.021 0.679 0.500
Y1 0.930 0.236 0.000
Y2 0.264 0.570 0.500
Y3 0.430 0.264 0.500
Y4 0.236 0.070 0.000
Y5 0.764 0.930 0.000
Y6 0.736 0.430 0.500
Y7 0.570 0.736 0.500
Y8 0.070 0.764 0.000

2.
# r²SCAN Zr4Fe4Si7, relaxed
# Space group: I4/mmm (139)
# Crystal system: tetragonal
# E_form (eV/atom): -0.660
data_Zr4Fe4Si7
_space_group_name_H-M_alt 'P 1'
_space_group_IT_number 1
_space_group_name_Hall 'P 1'
_cell_length_a 9.591
_cell_length_b 9.591
_cell_length_c 9.591
_cell_angle_alpha 93.87
_cell_angle_beta 93.87
_cell_angle_gamma 149.88
loop_
_atom_site_label
_atom_site_fract_x
_atom_site_fract_y
_atom_site_fract_z
Zr1 0.303 0.500 0.803
Zr2 0.697 0.500 0.197
Zr3 0.138 0.862 0.000
Zr4 0.500 0.303 0.803
Zr5 0.138 0.138 0.275
Zr6 0.862 0.862 0.725
Zr7 0.862 0.138 0.000
Zr8 0.500 0.697 0.197
Si1 0.290 0.710 0.000
Si2 0.000 0.299 0.299
Si3 0.000 0.701 0.701
Si4 0.909 0.500 0.409
Si5 0.250 0.250 0.000
Si6 0.500 0.909 0.409
Si7 0.500 0.091 0.591
Si8 0.290 0.290 0.579
Si9 0.701 0.000 0.701
Si10 0.710 0.710 0.421
Si11 0.299 0.000 0.299
Si12 0.750 0.750 0.000
Si13 0.091 0.500 0.591
Si14 0.710 0.290 0.000
Fe1 0.602 0.102 0.205
Fe2 0.602 0.398 0.500
Fe3 0.898 0.398 0.795
Fe4 0.398 0.898 0.795
Fe5 0.102 0.602 0.205
Fe6 0.898 0.102 0.500
Fe7 0.398 0.602 0.500
Fe8 0.102 0.898 0.500

3.
# r²SCAN ZrFe2Si2, relaxed
# Space group: I4/mmm (139)
# Crystal system: tetragonal
# E_form (eV/atom): -0.485
data_ZrFe2Si2
_space_group_name_H-M_alt 'P 1'
_space_group_IT_number 1
_space_group_name_Hall 'P 1'
_cell_length_a 3.844
_cell_length_b 3.844
_cell_length_c 5.330
_cell_angle_alpha 111.14
_cell_angle_beta 111.14
_cell_angle_gamma 90.00
loop_
_atom_site_label
_atom_site_fract_x
_atom_site_fract_y
_atom_site_fract_z
Fe1 0.750 0.250 0.500
Fe2 0.250 0.750 0.500
Si1 0.370 0.370 0.739
Si2 0.630 0.630 0.261
Zr1 0.000 0.000 0.000

4.
# r²SCAN ZrFe4Si2, relaxed
# Space group: P4_2/mnm (136)
# Crystal system: tetragonal
# E_form (eV/atom): -0.389
data_ZrFe4Si2
_space_group_name_H-M_alt 'P 1'
_space_group_IT_number 1
_space_group_name_Hall 'P 1'
_cell_length_a 7.023
_cell_length_b 7.023
_cell_length_c 3.786
_cell_angle_alpha 90.00
_cell_angle_beta 90.00
_cell_angle_gamma 90.00
loop_
_atom_site_label
_atom_site_fract_x
_atom_site_fract_y
_atom_site_fract_z
Si1 0.213 0.787 0.000
Si2 0.713 0.713 0.500
Si3 0.287 0.287 0.500
Si4 0.787 0.213 0.000
Fe1 0.404 0.852 0.500
Fe2 0.904 0.648 0.000
Fe3 0.352 0.096 0.000
Fe4 0.148 0.596 0.500
Fe5 0.648 0.904 0.000
Fe6 0.596 0.148 0.500
Fe7 0.852 0.404 0.500
Fe8 0.096 0.352 0.000
Zr1 0.500 0.500 0.000
Zr2 0.000 0.000 0.500

no.,uncorrected energy (eV/atom)
1,-13.323
2,-14.664
3,-14.310
4,-14.382